(1)
Entry from the Materials Project database: crystalline BPd5 at its relaxed geometry (GGA-PBE).

## Properties
Space-group type ... I4/mmm (139)
Total magnetic moment ... 0.0 μB per formula unit
Energy relative to the lowest polymorph listed for this composition ... 0.132 eV/atom

Lattice parameters (Å, degrees): 9.102 9.102 9.102 160.21 160.21 28.13
Element x y z (fractional)
B 0.000 0.000 0.000
Pd 0.113 0.113 0.000
Pd 0.296 0.296 0.000
Pd 0.500 0.500 0.000
Pd 0.704 0.704 0.000
Pd 0.887 0.887 0.000

---

(2)
Entry from the Materials Project database: crystalline Li2HIO at its relaxed geometry (GGA-PBE).

## Properties
Space-group type ... Pnma (62)
Corrected total energy (MP2020 scheme) ... -86.5 eV for the cell shown
Total magnetic moment ... 0.0 μB per formula unit

Lattice parameters (Å, degrees): 10.492 5.651 6.675 90.00 90.00 90.00
Element x y z (fractional)
Li 0.111 0.000 0.061
Li 0.111 0.500 0.061
Li 0.389 0.000 0.561
Li 0.389 0.500 0.561
Li 0.611 0.000 0.439
Li 0.611 0.500 0.439
Li 0.889 0.000 0.939
Li 0.889 0.500 0.939
H 0.044 0.250 0.774
H 0.456 0.750 0.274
H 0.544 0.250 0.726
H 0.956 0.750 0.226
I 0.175 0.250 0.416
I 0.325 0.750 0.916
I 0.675 0.250 0.084
I 0.825 0.750 0.584
O 0.019 0.250 0.916
O 0.481 0.750 0.416
O 0.519 0.250 0.584
O 0.981 0.750 0.084

---

(3)
Entry from the Materials Project database: crystalline BaCaEuSeO6 at its relaxed geometry (GGA-PBE).

## Properties
Space-group type ... F-43m (216)
Corrected total energy (MP2020 scheme) ... -72.6 eV for the cell shown
Total magnetic moment ... 7.0 μB per formula unit

Lattice parameters (Å, degrees): 5.806 5.806 5.806 60.00 60.00 60.00
Element x y z (fractional)
Ba 0.000 0.000 0.000
Ca 0.750 0.750 0.750
Eu 0.500 0.500 0.500
Se 0.250 0.250 0.250
O 0.026 0.026 0.474
O 0.026 0.474 0.026
O 0.026 0.474 0.474
O 0.474 0.026 0.026
O 0.474 0.026 0.474
O 0.474 0.474 0.026

---

(4)
Entry from the Materials Project database: crystalline MgTe2Mo2WSe2S2 at its relaxed geometry (GGA-PBE).

## Properties
Space-group type ... P1 (1)
Corrected total energy (MP2020 scheme) ... -62.5 eV for the cell shown
Total magnetic moment ... 0.0 μB per formula unit
Energy relative to the lowest polymorph listed for this composition ... 0.042 eV/atom

Lattice parameters (Å, degrees): 3.342 3.342 31.011 90.00 90.00 60.00
Element x y z (fractional)
Mg 0.000 0.000 0.000
Te 0.078 0.898 0.654
Te 0.078 0.898 0.777
Mo 0.078 0.898 0.484
Mo 0.745 0.565 0.253
W 0.745 0.565 0.715
Se 0.745 0.565 0.430
Se 0.745 0.565 0.538
S 0.078 0.898 0.204
S 0.078 0.898 0.302

---

(5)
Entry from the Materials Project database: crystalline Th6MnBr15 at its relaxed geometry (GGA-PBE).

## Properties
Space-group type ... Im-3m (229)
Corrected total energy (MP2020 scheme) ... -120.2 eV for the cell shown

Lattice parameters (Å, degrees): 10.165 10.165 10.165 109.47 109.47 109.47
Element x y z (fractional)
Th 0.000 0.238 0.238
Th 0.000 0.762 0.762
Th 0.238 0.000 0.238
Th 0.238 0.238 0.000
Th 0.762 0.000 0.762
Th 0.762 0.762 0.000
Mn 0.000 0.000 0.000
Br 0.000 0.249 0.751
Br 0.000 0.500 0.500
Br 0.000 0.751 0.249
Br 0.249 0.000 0.751
Br 0.249 0.249 0.499
Br 0.249 0.499 0.249
Br 0.249 0.751 0.000
Br 0.499 0.249 0.249
Br 0.500 0.000 0.500
Br 0.500 0.500 0.000
Br 0.501 0.751 0.751
Br 0.751 0.000 0.249
Br 0.751 0.249 0.000
Br 0.751 0.501 0.751
Br 0.751 0.751 0.501

---

(6)
Entry from the Materials Project database: crystalline MgTi4Pb2O9F2 at its relaxed geometry (GGA-PBE).

## Properties
Space-group type ... Cm (8)
Corrected total energy (MP2020 scheme) ... -142.4 eV for the cell shown
Total magnetic moment ... 1.2 μB per formula unit
Energy relative to the lowest polymorph listed for this composition ... 0.021 eV/atom

Lattice parameters (Å, degrees): 7.835 7.835 10.514 131.89 131.89 29.33
Element x y z (fractional)
Mg 0.000 0.000 0.000
Ti 0.062 0.062 0.686
Ti 0.111 0.111 0.362
Ti 0.352 0.352 0.466
Ti 0.400 0.400 0.126
Pb 0.723 0.723 0.673
Pb 0.727 0.727 0.132
O 0.095 0.095 0.536
O 0.170 0.170 0.235
O 0.233 0.233 0.895
O 0.290 0.290 0.567
O 0.362 0.362 0.257
O 0.537 0.537 0.657
O 0.592 0.592 0.348
O 0.871 0.871 0.463
O 0.933 0.933 0.117
F 0.028 0.028 0.849
F 0.463 0.463 0.975

---

(7)
Entry from the Materials Project database: crystalline SmIO at its relaxed geometry (GGA-PBE).

## Properties
Space-group type ... R-3m (166)
Corrected total energy (MP2020 scheme) ... -39.5 eV for the cell shown
Total magnetic moment ... 0.0 μB per formula unit

Lattice parameters (Å, degrees): 11.219 11.219 11.219 20.67 20.67 20.67
Element x y z (fractional)
Sm 0.211 0.211 0.211
Sm 0.789 0.789 0.789
I 0.389 0.389 0.389
I 0.611 0.611 0.611
O 0.140 0.140 0.140
O 0.860 0.860 0.860

---

(8)
Entry from the Materials Project database: crystalline Sr8MgP4I4O16 at its relaxed geometry (GGA-PBE).

## Properties
Space-group type ... P1 (1)
Corrected total energy (MP2020 scheme) ... -217.8 eV for the cell shown
Total magnetic moment ... 0.0 μB per formula unit
Energy relative to the lowest polymorph listed for this composition ... 0.000 eV/atom

Lattice parameters (Å, degrees): 8.677 9.050 9.808 88.64 65.52 89.77
Element x y z (fractional)
Sr 0.000 0.000 0.000
Sr 0.002 0.875 0.633
Sr 0.425 0.372 0.902
Sr 0.434 0.512 0.522
Sr 0.496 0.843 0.009
Sr 0.507 0.981 0.626
Sr 0.928 0.478 0.899
Sr 0.930 0.355 0.531
Mg 0.462 0.173 0.260
P 0.212 0.230 0.720
P 0.222 0.727 0.808
P 0.708 0.627 0.722
P 0.720 0.124 0.809
I 0.119 0.985 0.278
I 0.266 0.537 0.256
I 0.663 0.810 0.275
I 0.805 0.352 0.254
O 0.027 0.756 0.869
O 0.128 0.251 0.894
O 0.139 0.348 0.644
O 0.183 0.068 0.689
O 0.249 0.563 0.840
O 0.296 0.840 0.883
O 0.304 0.757 0.635
O 0.406 0.261 0.661
O 0.526 0.093 0.866
O 0.624 0.598 0.896
O 0.637 0.514 0.646
O 0.683 0.791 0.690
O 0.747 0.286 0.841
O 0.792 0.006 0.886
O 0.806 0.103 0.636
O 0.903 0.598 0.664

---

(9)
Entry from the Materials Project database: crystalline Ho5SbPt2 at its relaxed geometry (GGA-PBE).

## Properties
Space-group type ... I4/mcm (140)

Lattice parameters (Å, degrees): 8.756 8.756 8.756 127.70 127.70 77.12
Element x y z (fractional)
Ho 0.000 0.000 0.000
Ho 0.020 0.520 0.816
Ho 0.204 0.020 0.500
Ho 0.296 0.796 0.816
Ho 0.480 0.296 0.500
Ho 0.500 0.500 0.000
Ho 0.520 0.704 0.500
Ho 0.704 0.204 0.184
Ho 0.796 0.980 0.500
Ho 0.980 0.480 0.184
Sb 0.250 0.250 0.000
Sb 0.750 0.750 0.000
Pt 0.137 0.363 0.500
Pt 0.363 0.863 0.226
Pt 0.637 0.137 0.774
Pt 0.863 0.637 0.500

---

(10)
Entry from the Materials Project database: crystalline USn2 at its relaxed geometry (GGA-PBE).

## Properties
Space-group type ... Cmmm (65)
Total magnetic moment ... 2.6 μB per formula unit

Lattice parameters (Å, degrees): 7.733 7.733 4.654 90.00 90.00 146.62
Element x y z (fractional)
U 0.154 0.846 0.000
U 0.846 0.154 0.000
Sn 0.000 0.000 0.500
Sn 0.323 0.677 0.500
Sn 0.500 0.500 0.000
Sn 0.677 0.323 0.500

---

(11)
Entry from the Materials Project database: crystalline CoPS3 at its relaxed geometry (GGA-PBE).

## Properties
Space-group type ... C2/m (12)
Corrected total energy (MP2020 scheme) ... -55.1 eV for the cell shown
Total magnetic moment ... 1.0 μB per formula unit

Lattice parameters (Å, degrees): 5.770 5.770 6.860 98.09 98.09 119.99
Element x y z (fractional)
Co 0.167 0.833 0.000
Co 0.833 0.167 0.000
P 0.444 0.444 0.836
P 0.556 0.556 0.164
S 0.073 0.427 0.783
S 0.219 0.219 0.218
S 0.427 0.073 0.783
S 0.573 0.927 0.217
S 0.781 0.781 0.782
S 0.927 0.573 0.217

---

(12)
Entry from the Materials Project database: crystalline Ba2Bi3O7 at its relaxed geometry (GGA-PBE).

## Properties
Space-group type ... Pmm2 (25)
Corrected total energy (MP2020 scheme) ... -73.7 eV for the cell shown
Total magnetic moment ... 0.0 μB per formula unit

Lattice parameters (Å, degrees): 4.371 12.359 4.392 90.00 90.00 90.00
Element x y z (fractional)
Ba 0.000 0.207 0.000
Ba 0.000 0.793 0.000
Bi 0.500 0.000 0.493
Bi 0.500 0.364 0.493
Bi 0.500 0.636 0.493
O 0.000 0.000 0.315
O 0.000 0.338 0.490
O 0.000 0.662 0.490
O 0.500 0.182 0.499
O 0.500 0.336 0.992
O 0.500 0.664 0.992
O 0.500 0.818 0.499

---

no.,E_form (eV per atom),calculated total energy (eV per atom)
1,-0.0852,-5.52
2,-1.5866,-4.19
3,-2.5241,-6.85
4,-0.4670,-6.15
5,-1.9100,-5.10
6,-2.9667,-7.51
7,-2.8556,-6.36
8,-2.9035,-6.27
9,-0.9995,-5.90
10,-0.1008,-6.54
11,-0.5271,-5.21
12,-1.9629,-5.74